# 1
Material: Li2Mn3SnO8
Method: DFT, PBE with a Hubbard U
State: optimized geometry

POSCAR file:
```
Li2Mn3SnO8
1.0
-1.523 -7.581 -3.219
8.391 -0.883 -1.892
1.395 -3.626 7.880
Li Mn Sn O
8 12 4 32
Direct
0.000 0.996 0.998
0.249 0.751 0.753
0.751 0.251 0.747
0.000 0.496 0.502
0.500 0.004 0.498
0.251 0.249 0.253
0.749 0.749 0.247
0.500 0.504 0.002
0.134 0.376 0.876
0.384 0.127 0.872
0.625 0.877 0.873
0.375 0.377 0.627
0.616 0.627 0.628
0.866 0.876 0.624
0.366 0.624 0.376
0.116 0.873 0.372
0.875 0.123 0.373
0.125 0.623 0.127
0.884 0.373 0.128
0.634 0.124 0.124
0.875 0.625 0.875
0.125 0.125 0.625
0.625 0.375 0.375
0.375 0.875 0.125
0.123 0.621 0.903
0.901 0.385 0.875
0.616 0.105 0.883
0.149 0.129 0.863
0.392 0.891 0.882
0.366 0.364 0.853
0.628 0.651 0.873
0.855 0.869 0.866
0.145 0.369 0.634
0.372 0.151 0.627
0.634 0.864 0.647
0.608 0.391 0.618
0.851 0.629 0.637
0.384 0.605 0.617
0.099 0.885 0.625
0.877 0.121 0.597
0.377 0.379 0.403
0.599 0.615 0.375
0.884 0.895 0.383
0.351 0.871 0.363
0.108 0.109 0.382
0.134 0.636 0.353
0.872 0.349 0.373
0.645 0.131 0.366
0.355 0.631 0.134
0.128 0.849 0.127
0.866 0.136 0.147
0.892 0.609 0.118
0.649 0.371 0.137
0.116 0.395 0.117
0.401 0.115 0.125
0.623 0.879 0.097
```

Output
MP2020-corrected energy, eV per atom: -7.433
ΔE to the lowest computed polymorph, eV per formula unit: 0.27
Density, g/cm3: 4.4



# 2
Material: Li4Mn3Sn3Te2O16
Method: DFT, PBE with a Hubbard U
State: optimized geometry

POSCAR file:
```
Li4Mn3Sn3Te2O16
1.0
-3.140 5.438 -0.001
-9.421 -5.439 0.057
3.098 5.412 10.307
Li Mn Sn Te O
8 6 6 4 32
Direct
0.551 0.775 0.898
0.051 0.275 0.898
0.506 0.498 0.988
0.006 0.998 0.988
0.752 0.253 0.495
0.252 0.753 0.495
0.296 0.370 0.408
0.796 0.870 0.408
0.895 0.274 0.211
0.894 0.939 0.713
0.394 0.939 0.713
0.395 0.774 0.211
0.394 0.439 0.713
0.894 0.439 0.713
0.142 0.688 0.716
0.642 0.188 0.716
0.140 0.526 0.216
0.640 0.026 0.216
0.644 0.526 0.216
0.144 0.026 0.216
0.756 0.567 0.487
0.256 0.067 0.487
0.008 0.635 0.984
0.508 0.135 0.984
0.839 0.658 0.322
0.339 0.158 0.322
0.946 0.392 0.109
0.446 0.892 0.109
0.843 0.160 0.315
0.343 0.659 0.315
0.597 0.413 0.806
0.097 0.913 0.806
0.445 0.406 0.109
0.945 0.906 0.109
0.711 0.454 0.577
0.212 0.954 0.577
0.192 0.463 0.616
0.692 0.963 0.616
0.070 0.440 0.860
0.570 0.940 0.860
0.968 0.735 0.610
0.468 0.235 0.610
0.422 0.735 0.611
0.922 0.235 0.611
0.048 0.444 0.352
0.548 0.944 0.352
0.600 0.444 0.352
0.101 0.944 0.352
0.320 0.644 0.823
0.820 0.144 0.823
0.856 0.644 0.823
0.356 0.144 0.823
0.710 0.117 0.088
0.210 0.617 0.089
0.201 0.117 0.088
0.701 0.617 0.088
```

Output
MP2020-corrected energy, eV per atom: -6.738
Density, g/cm3: 5.0



# 3
Material: Li4Ti3Mn2Sn3O16
Method: DFT, PBE with a Hubbard U
State: optimized geometry

POSCAR file:
```
Li4Ti3Mn2Sn3O16
1.0
-4.726 -3.588 1.665
5.685 -2.308 -0.149
1.332 2.664 9.590
Li Ti Mn Sn O
4 3 2 3 16
Direct
0.340 0.670 0.886
0.977 0.988 0.997
0.985 0.992 0.501
0.673 0.336 0.391
0.661 0.831 0.219
0.832 0.170 0.716
0.832 0.662 0.716
0.339 0.669 0.501
0.672 0.336 0.997
0.168 0.831 0.214
0.168 0.337 0.214
0.338 0.169 0.715
0.145 0.838 0.605
0.033 0.517 0.335
0.346 0.673 0.100
0.989 0.995 0.320
0.988 0.994 0.815
0.145 0.308 0.605
0.498 0.971 0.328
0.498 0.526 0.328
0.305 0.153 0.098
0.690 0.845 0.612
0.529 0.495 0.828
0.529 0.034 0.828
0.684 0.342 0.604
0.833 0.687 0.106
0.967 0.484 0.820
0.833 0.146 0.106
```

Output
MP2020-corrected energy, eV per atom: -7.596
Density, g/cm3: 4.5



# 4
Material: Li4Ti2Mn3Sn3O16
Method: DFT, PBE with a Hubbard U
State: optimized geometry

POSCAR file:
```
Li4Ti2Mn3Sn3O16
1.0
3.080 5.347 0.000
-3.080 5.347 0.000
0.000 0.167 9.736
Li Ti Mn Sn O
4 2 3 3 16
Direct
0.676 0.676 0.897
0.987 0.987 0.988
0.992 0.992 0.500
0.332 0.332 0.398
0.672 0.672 0.499
0.350 0.350 0.982
0.826 0.826 0.219
0.662 0.174 0.712
0.174 0.662 0.712
0.829 0.334 0.211
0.334 0.829 0.211
0.173 0.173 0.716
0.839 0.337 0.591
0.514 0.514 0.342
0.659 0.659 0.095
0.002 0.002 0.317
0.996 0.996 0.802
0.337 0.839 0.591
0.952 0.528 0.339
0.528 0.952 0.339
0.157 0.157 0.092
0.821 0.821 0.584
0.479 0.046 0.848
0.046 0.479 0.848
0.339 0.339 0.605
0.666 0.151 0.100
0.484 0.484 0.866
0.151 0.666 0.100
```

Output
MP2020-corrected energy, eV per atom: -7.473
Density, g/cm3: 4.7



# 5
Material: Li4Mn3V3Sn2O16
Method: DFT, PBE with a Hubbard U
State: optimized geometry

POSCAR file:
```
Li4Mn3V3Sn2O16
1.0
-4.392 -3.136 -2.815
2.918 -2.433 4.531
-6.433 3.889 6.365
Li Mn V Sn O
4 3 3 2 16
Direct
0.315 0.658 0.897
0.000 0.991 0.992
0.015 0.012 0.492
0.666 0.338 0.399
0.665 0.835 0.213
0.831 0.664 0.713
0.825 0.167 0.714
0.165 0.820 0.214
0.173 0.340 0.215
0.337 0.175 0.716
0.350 0.681 0.489
0.655 0.315 0.991
0.199 0.869 0.602
0.035 0.528 0.337
0.339 0.679 0.110
0.999 0.991 0.305
0.998 0.000 0.804
0.187 0.340 0.597
0.464 0.975 0.343
0.484 0.523 0.336
0.319 0.146 0.104
0.699 0.851 0.595
0.481 0.454 0.841
0.491 0.021 0.845
0.666 0.336 0.613
0.852 0.664 0.095
0.949 0.475 0.839
0.842 0.152 0.097
```

Output
MP2020-corrected energy, eV per atom: -7.614
Density, g/cm3: 4.5



# 6
Material: Li3Mn3TeO8
Method: DFT, PBE with a Hubbard U
State: optimized geometry

POSCAR file:
```
Li3Mn3TeO8
1.0
-5.387 0.424 -2.958
-0.513 -6.306 0.037
-3.886 0.353 7.758
Li Mn Te O
6 6 2 16
Direct
0.750 0.250 0.750
0.250 0.750 0.250
0.750 0.750 0.750
0.250 0.250 0.250
0.000 0.508 0.500
0.500 0.992 0.000
0.250 0.750 0.750
0.750 0.250 0.250
0.250 0.250 0.750
0.750 0.750 0.250
0.003 0.500 0.000
0.497 0.000 0.500
0.500 0.498 0.500
0.000 0.002 0.000
0.537 0.974 0.255
0.037 0.526 0.754
0.463 0.974 0.746
0.963 0.526 0.245
0.775 0.781 0.008
0.275 0.280 0.494
0.274 0.718 0.508
0.777 0.220 0.994
0.488 0.500 0.275
0.989 0.999 0.775
0.225 0.220 0.006
0.725 0.719 0.492
0.724 0.280 0.506
0.226 0.782 0.992
0.510 0.501 0.725
0.012 0.999 0.225
```

Output
MP2020-corrected energy, eV per atom: -7.079
ΔE to the lowest computed polymorph, eV per formula unit: 0.05
Density, g/cm3: 4.3



# 7
Material: Li2Mn3TeO8
Method: DFT, PBE with a Hubbard U
State: optimized geometry

POSCAR file:
```
Li2Mn3TeO8
1.0
4.122 -2.879 3.507
-5.895 0.271 1.653
-1.133 -10.658 -2.009
Li Mn Te O
4 6 2 16
Direct
0.867 0.939 0.210
0.868 0.431 0.710
0.132 0.569 0.290
0.133 0.061 0.790
0.500 0.500 0.000
0.500 0.500 0.500
0.500 0.000 0.000
0.000 0.000 0.500
0.000 0.500 0.000
0.500 0.000 0.500
0.504 0.742 0.750
0.496 0.258 0.250
0.743 0.854 0.408
0.742 0.395 0.909
0.258 0.605 0.091
0.257 0.146 0.592
0.718 0.085 0.642
0.718 0.600 0.138
0.750 0.657 0.631
0.741 0.168 0.134
0.287 0.619 0.633
0.280 0.148 0.133
0.720 0.851 0.867
0.713 0.381 0.367
0.259 0.832 0.866
0.250 0.343 0.369
0.282 0.400 0.862
0.282 0.915 0.358
```

Output
MP2020-corrected energy, eV per atom: -7.283
ΔE to the lowest computed polymorph, eV per formula unit: 0.06
Density, g/cm3: 4.4



# 8
Material: Li2Mn3TeO8
Method: DFT, PBE with a Hubbard U
State: optimized geometry

POSCAR file:
```
Li2Mn3TeO8
1.0
-0.003 -3.419 4.836
6.287 0.001 -0.003
-0.002 7.333 5.186
Li Mn Te O
4 6 2 16
Direct
0.000 0.292 0.131
0.499 0.792 0.631
0.999 0.708 0.869
0.501 0.208 0.369
0.500 0.000 0.000
0.750 0.749 0.251
0.250 0.251 0.749
0.001 0.500 0.500
0.250 0.751 0.249
0.750 0.249 0.751
0.000 0.000 0.500
0.500 0.500 0.000
0.001 0.554 0.260
0.499 0.054 0.760
0.999 0.446 0.740
0.501 0.946 0.240
0.228 0.777 0.498
0.729 0.278 0.998
0.771 0.778 0.499
0.272 0.277 0.999
0.999 0.981 0.276
0.499 0.481 0.776
0.001 0.019 0.724
0.501 0.518 0.224
0.229 0.222 0.501
0.728 0.723 0.002
0.772 0.223 0.502
0.271 0.722 0.002
```

Output
MP2020-corrected energy, eV per atom: -7.282
ΔE to the lowest computed polymorph, eV per formula unit: 0.06
Density, g/cm3: 4.3